! ErPd (PBE-GGA, relaxed); values from VASP
&SYSTEM
  ibrav = 0, nat = 2, ntyp = 2
/
ATOMIC_SPECIES
Er 167.26 Er.upf
Pd 106.42 Pd.upf
CELL_PARAMETERS angstrom
-1.5472 -1.8957 -2.4759
0.9275 -2.9186 1.6550
-2.9772 0.0759 1.8023
ATOMIC_POSITIONS angstrom
Er 0.0000 0.0000 0.0000
Pd -1.7984 -2.3692 0.4907
! Crystal system ... cubic
! Calculated density ... 10.77 g/cm³
! Calculated total energy ... -11.6 eV for the cell shown

! SmSi3Os (PBE-GGA, relaxed); values from VASP
&SYSTEM
  ibrav = 0, nat = 5, ntyp = 3
/
ATOMIC_SPECIES
Sm 150.36 Sm.upf
Si 28.09 Si.upf
Os 190.23 Os.upf
CELL_PARAMETERS angstrom
-4.1739 1.2908 3.8092
-0.8206 5.5775 1.3474
0.5339 -3.1827 -4.8149
ATOMIC_POSITIONS angstrom
Sm -4.9841 6.8541 5.1460
Si -3.1269 0.8512 0.8465
Si -2.0896 2.8737 2.1575
Si -1.4502 2.9946 -0.3844
Os -3.2682 4.4944 3.3743
! Crystal system ... tetragonal
! Calculated density ... 7.96 g/cm³
! Calculated total energy ... -35.3 eV for the cell shown

! Ti3B4Mo (PBE-GGA, relaxed); values from VASP
&SYSTEM
  ibrav = 0, nat = 8, ntyp = 3
/
ATOMIC_SPECIES
Ti 47.87 Ti.upf
B 10.81 B.upf
Mo 95.94 Mo.upf
CELL_PARAMETERS angstrom
3.0594 0.0000 0.0000
0.0000 4.5539 0.0000
0.0000 0.0390 6.0476
ATOMIC_POSITIONS angstrom
Ti 0.0000 0.5736 4.9683
Ti 1.5297 3.9911 1.0630
Ti 0.0000 1.7372 1.9782
B 0.0000 2.7810 5.8599
B 0.0000 4.1186 2.8412
B 1.5297 0.4863 3.1993
B 1.5297 1.8213 0.1748
Mo 1.5297 2.8626 4.1057
! Crystal system ... monoclinic
! Calculated density ... 5.57 g/cm³
! Calculated total energy ... -67.9 eV for the cell shown

! Rb2O (PBE-GGA, relaxed); values from VASP
&SYSTEM
  ibrav = 0, nat = 3, ntyp = 2
/
ATOMIC_SPECIES
O 16.00 O.upf
Rb 85.47 Rb.upf
CELL_PARAMETERS angstrom
-0.3614 6.3674 0.9120
-2.2225 5.3321 -2.8523
-4.3433 4.6800 0.8602
ATOMIC_POSITIONS angstrom
O 0.0000 0.0000 0.0000
Rb -5.1136 12.0914 -0.7973
Rb -1.8135 4.2882 -0.2828
! Energy with MP2020 corrections ... -3.44 eV/atom
! Crystal system ... trigonal
! Size of the total moment ... 0.00 μB/atom
! Calculated density ... 3.23 g/cm³
! Calculated total energy ... -9.6 eV for the cell shown